[1]
DFT (PBE) results for Pr4B3Rh12 after structural relaxation. Values from VASP.

Computed properties:
- E_form: -589 meV per atom
- Crystal system: tetragonal

Cell and atoms, written as Quantum ESPRESSO input:
```
&SYSTEM
  ibrav = 0, nat = 19, ntyp = 3
/
ATOMIC_SPECIES
Pr 140.91 Pr.upf
B 10.81 B.upf
Rh 102.91 Rh.upf
CELL_PARAMETERS angstrom
4.280 0.000 0.000
0.000 4.280 0.000
0.000 0.000 16.716
ATOMIC_POSITIONS angstrom
Pr 0.000 0.000 2.008
Pr 0.000 0.000 6.251
Pr 0.000 0.000 10.466
Pr 0.000 0.000 14.708
B 2.140 2.140 3.999
B 2.140 2.140 8.358
B 2.140 2.140 12.717
Rh 0.000 2.140 0.000
Rh 0.000 2.140 4.122
Rh 0.000 2.140 8.358
Rh 0.000 2.140 12.594
Rh 2.140 0.000 0.000
Rh 2.140 0.000 4.122
Rh 2.140 0.000 8.358
Rh 2.140 0.000 12.594
Rh 2.140 2.140 1.921
Rh 2.140 2.140 6.201
Rh 2.140 2.140 10.515
Rh 2.140 2.140 14.795
```

***

[2]
DFT (PBE) results for PrB4Ru4 after structural relaxation. Values from VASP.

Computed properties:
- E_form: -436 meV per atom
- Crystal system: tetragonal

Cell and atoms, written as Quantum ESPRESSO input:
```
&SYSTEM
  ibrav = 0, nat = 36, ntyp = 3
/
ATOMIC_SPECIES
Pr 140.91 Pr.upf
B 10.81 B.upf
Ru 101.07 Ru.upf
CELL_PARAMETERS angstrom
-3.788 3.788 7.574
3.788 -3.788 7.574
3.788 3.788 -7.574
ATOMIC_POSITIONS angstrom
Pr 3.788 1.894 -1.893
Pr 0.000 1.894 1.893
Pr 3.788 1.894 5.680
Pr 0.000 1.894 9.467
B 1.266 0.809 -0.654
B 1.086 -0.628 3.133
B 2.522 0.809 0.654
B 4.874 -0.628 4.441
B 4.874 0.628 3.133
B 2.522 -0.809 6.920
B 1.086 0.628 4.441
B 1.266 -0.809 8.227
B 2.522 4.597 -0.654
B 2.703 3.160 3.133
B 1.266 4.597 0.654
B -1.086 3.160 4.441
B -1.086 4.416 3.133
B 1.266 2.980 6.920
B 2.703 4.416 4.441
B 2.522 2.980 8.227
Ru 6.699 0.800 -0.957
Ru 2.694 2.771 -4.744
Ru 4.665 0.800 0.957
Ru 2.694 -1.017 4.744
Ru 2.694 1.017 2.830
Ru 0.877 2.988 -0.957
Ru 2.694 4.805 -2.830
Ru 2.911 2.988 0.957
Ru 0.877 0.800 6.617
Ru 1.094 -1.017 10.404
Ru 2.911 0.800 8.531
Ru 1.094 2.771 4.744
Ru 1.094 4.805 2.830
Ru -0.877 2.988 6.617
Ru 1.094 1.017 12.317
Ru -2.911 2.988 8.531
```

***

[3]
DFT (PBE) results for PrSmB12 after structural relaxation. Values from VASP.

Computed properties:
- E_form: -471 meV per atom
- Crystal system: tetragonal

Cell and atoms, written as Quantum ESPRESSO input:
```
&SYSTEM
  ibrav = 0, nat = 14, ntyp = 3
/
ATOMIC_SPECIES
Pr 140.91 Pr.upf
Sm 150.36 Sm.upf
B 10.81 B.upf
CELL_PARAMETERS angstrom
5.844 0.000 0.000
0.000 5.844 0.000
0.000 0.000 4.133
ATOMIC_POSITIONS angstrom
Pr 0.000 0.000 0.000
Sm 2.922 2.922 0.000
B 0.000 2.922 0.825
B 0.000 2.922 3.308
B 0.880 2.046 2.066
B 0.880 3.798 2.066
B 2.046 0.880 2.066
B 2.046 4.964 2.066
B 2.922 0.000 0.825
B 2.922 0.000 3.308
B 3.798 0.880 2.066
B 3.798 4.964 2.066
B 4.964 2.046 2.066
B 4.964 3.798 2.066
```

***

[4]
DFT (PBE) results for BPt2 after structural relaxation. Values from VASP.

Computed properties:
- E_form: -176 meV per atom
- Crystal system: hexagonal

Cell and atoms, written as Quantum ESPRESSO input:
```
&SYSTEM
  ibrav = 0, nat = 6, ntyp = 2
/
ATOMIC_SPECIES
B 10.81 B.upf
Pt 195.08 Pt.upf
CELL_PARAMETERS angstrom
2.952 0.000 0.000
-1.476 2.556 0.000
0.000 0.000 10.391
ATOMIC_POSITIONS angstrom
B 0.000 1.704 2.598
B 1.476 0.852 7.793
Pt 0.000 1.704 6.403
Pt 0.000 1.704 9.183
Pt 1.476 0.852 1.208
Pt 1.476 0.852 3.988
```

***

[5]
DFT (PBE) results for BPt3 after structural relaxation. Values from VASP.

Computed properties:
- E_form: -19 meV per atom
- Crystal system: hexagonal

Cell and atoms, written as Quantum ESPRESSO input:
```
&SYSTEM
  ibrav = 0, nat = 8, ntyp = 2
/
ATOMIC_SPECIES
B 10.81 B.upf
Pt 195.08 Pt.upf
CELL_PARAMETERS angstrom
7.157 0.000 0.000
-3.579 6.198 0.000
0.000 0.000 2.755
ATOMIC_POSITIONS angstrom
B 0.000 4.132 0.689
B 3.579 2.066 2.066
Pt 0.000 2.447 2.066
Pt -1.459 4.975 2.066
Pt 2.119 1.224 0.689
Pt 1.459 4.975 2.066
Pt 5.038 1.224 0.689
Pt 3.579 3.751 0.689
```

***

[6]
DFT (PBE) results for SrB4Pt6 after structural relaxation. Values from VASP.

Computed properties:
- E_form: -424 meV per atom
- Crystal system: trigonal

Cell and atoms, written as Quantum ESPRESSO input:
```
&SYSTEM
  ibrav = 0, nat = 11, ntyp = 3
/
ATOMIC_SPECIES
Sr 87.62 Sr.upf
B 10.81 B.upf
Pt 195.08 Pt.upf
CELL_PARAMETERS angstrom
6.170 0.000 0.000
-3.085 5.344 0.000
0.000 0.000 5.337
ATOMIC_POSITIONS angstrom
Sr 0.000 0.000 0.000
B 0.000 3.562 3.027
B 0.000 3.562 4.969
B 3.085 1.781 0.367
B 3.085 1.781 2.309
Pt -1.397 2.756 1.338
Pt 1.397 2.756 1.338
Pt 0.000 5.175 1.338
Pt 3.085 0.168 3.999
Pt 1.688 2.588 3.999
Pt 4.482 2.588 3.999
```

***

[7]
DFT (PBE) results for YBPt2 after structural relaxation. Values from VASP.

Computed properties:
- E_form: -1001 meV per atom
- Crystal system: hexagonal

Cell and atoms, written as Quantum ESPRESSO input:
```
&SYSTEM
  ibrav = 0, nat = 12, ntyp = 3
/
ATOMIC_SPECIES
Y 88.91 Y.upf
B 10.81 B.upf
Pt 195.08 Pt.upf
CELL_PARAMETERS angstrom
5.360 0.000 0.000
-2.680 4.641 0.000
0.000 0.000 7.994
ATOMIC_POSITIONS angstrom
Y -1.340 2.321 1.332
Y 2.680 0.000 3.997
Y 1.340 2.321 6.662
B -1.340 2.321 5.330
B 2.680 0.000 0.000
B 1.340 2.321 2.665
Pt 0.000 1.415 3.997
Pt -1.455 3.934 6.662
Pt 1.225 0.707 1.332
Pt 1.455 3.934 1.332
Pt 4.134 0.707 6.662
Pt 2.680 3.227 3.997
```

***

[8]
DFT (PBE) results for YBPt3 after structural relaxation. Values from VASP.

Computed properties:
- E_form: -732 meV per atom
- Crystal system: cubic

Cell and atoms, written as Quantum ESPRESSO input:
```
&SYSTEM
  ibrav = 0, nat = 5, ntyp = 3
/
ATOMIC_SPECIES
Y 88.91 Y.upf
B 10.81 B.upf
Pt 195.08 Pt.upf
CELL_PARAMETERS angstrom
4.345 0.000 0.000
0.000 4.345 0.000
0.000 0.000 4.345
ATOMIC_POSITIONS angstrom
Y 0.000 0.000 0.000
B 2.172 2.172 2.172
Pt 0.000 2.172 2.172
Pt 2.172 0.000 2.172
Pt 2.172 2.172 0.000
```

***

[9]
DFT (PBE) results for PuB2 after structural relaxation. Values from VASP.

Computed properties:
- E_form: -401 meV per atom
- Crystal system: hexagonal

Cell and atoms, written as Quantum ESPRESSO input:
```
&SYSTEM
  ibrav = 0, nat = 3, ntyp = 2
/
ATOMIC_SPECIES
Pu 244.00 Pu.upf
B 10.81 B.upf
CELL_PARAMETERS angstrom
3.157 0.000 0.000
-1.579 2.734 0.000
0.000 0.000 3.991
ATOMIC_POSITIONS angstrom
Pu 0.000 0.000 0.000
B 0.000 1.823 1.996
B 1.579 0.911 1.996
```

***

[10]
DFT (PBE) results for PuB12 after structural relaxation. Values from VASP.

Computed properties:
- E_form: -261 meV per atom
- Crystal system: cubic

Cell and atoms, written as Quantum ESPRESSO input:
```
&SYSTEM
  ibrav = 0, nat = 13, ntyp = 2
/
ATOMIC_SPECIES
Pu 244.00 Pu.upf
B 10.81 B.upf
CELL_PARAMETERS angstrom
0.000 3.736 3.736
3.736 0.000 3.736
3.736 3.736 0.000
ATOMIC_POSITIONS angstrom
Pu 0.000 0.000 0.000
B 3.736 2.473 2.473
B 4.999 3.736 2.473
B 4.999 2.473 3.736
B 2.473 3.736 2.473
B 3.736 4.999 2.473
B 2.473 2.473 3.736
B 4.999 4.999 3.736
B 3.736 2.473 4.999
B 4.999 3.736 4.999
B 2.473 4.999 3.736
B 2.473 3.736 4.999
B 3.736 4.999 4.999
```

***

[11]
DFT (PBE) results for Pu2ReB6 after structural relaxation. Values from VASP.

Computed properties:
- E_form: -281 meV per atom
- Crystal system: orthorhombic

Cell and atoms, written as Quantum ESPRESSO input:
```
&SYSTEM
  ibrav = 0, nat = 36, ntyp = 3
/
ATOMIC_SPECIES
Pu 244.00 Pu.upf
Re 186.21 Re.upf
B 10.81 B.upf
CELL_PARAMETERS angstrom
9.298 0.000 0.000
0.000 11.427 0.000
0.000 0.000 3.654
ATOMIC_POSITIONS angstrom
Pu 0.436 1.262 0.000
Pu 1.550 4.672 0.000
Pu 3.099 10.386 0.000
Pu 4.213 6.975 0.000
Pu 5.085 4.452 0.000
Pu 6.199 1.041 0.000
Pu 7.748 6.754 0.000
Pu 8.862 10.165 0.000
Re 1.333 7.773 0.000
Re 3.316 2.060 0.000
Re 5.982 9.367 0.000
Re 7.965 3.654 0.000
B 0.126 3.228 1.827
B 0.486 6.491 1.827
B 1.279 10.994 1.827
B 1.312 9.280 1.827
B 1.859 2.611 1.827
B 2.270 6.604 1.827
B 2.380 0.890 1.827
B 2.791 8.324 1.827
B 3.337 3.567 1.827
B 3.371 5.281 1.827
B 4.163 0.778 1.827
B 4.523 8.942 1.827
B 4.775 2.485 1.827
B 5.136 10.649 1.827
B 5.928 6.146 1.827
B 5.961 7.860 1.827
B 6.508 3.102 1.827
B 6.919 10.536 1.827
B 7.029 4.823 1.827
B 7.440 8.816 1.827
B 7.987 2.146 1.827
B 8.020 0.432 1.827
B 8.812 4.936 1.827
B 9.173 8.198 1.827
```

***

[12]
DFT (PBE) results for PuB2Rh3 after structural relaxation. Values from VASP.

Computed properties:
- E_form: -582 meV per atom
- Crystal system: hexagonal

Cell and atoms, written as Quantum ESPRESSO input:
```
&SYSTEM
  ibrav = 0, nat = 6, ntyp = 3
/
ATOMIC_SPECIES
Pu 244.00 Pu.upf
B 10.81 B.upf
Rh 102.91 Rh.upf
CELL_PARAMETERS angstrom
5.651 0.000 0.000
-2.826 4.894 0.000
0.000 0.000 2.932
ATOMIC_POSITIONS angstrom
Pu 0.000 0.000 0.000
B 0.000 3.263 0.000
B 2.826 1.631 0.000
Rh -1.413 2.447 1.466
Rh 2.826 0.000 1.466
Rh 1.413 2.447 1.466
```

***

E_form of number 2 (PrB4Ru4)?
-436 meV per atom